Below is an optimized crystal structure of Sr10Mg3Fe2Mo5O30, with properties calculated at the GGA+U level.

Properties
* total moment: 10.01 μB/f.u.
* ρ: 5.2 g/cm3
* volume: 1289.9 Å³ per cell
* calculated formation energy: -136.46 eV per formula unit

CIF file:
```
data_Sr10Mg3Fe2Mo5O30
_chemical_formula_sum 'Sr20 Mg6 Fe4 Mo10 O60'
_space_group_name_H-M_alt 'P -1'
_space_group_IT_number 2
_cell_length_a 5.6549
_cell_length_b 5.6688
_cell_length_c 46.4400
_cell_angle_alpha 93.11
_cell_angle_beta 90.19
_cell_angle_gamma 119.74
loop_
_space_group_symop_operation_xyz
'x,y,z'
'-x,-y,-z'
loop_
_atom_site_label
_atom_site_type_symbol
_atom_site_fract_x
_atom_site_fract_y
_atom_site_fract_z
_atom_site_occupancy
Sr1 Sr 0.0250 0.0497 0.0750 1
Sr2 Sr 0.0754 0.1510 0.2249 1
Sr3 Sr 0.1241 0.2532 0.3762 1
Sr4 Sr 0.1759 0.3554 0.5252 1
Sr5 Sr 0.2218 0.4475 0.6739 1
Sr6 Sr 0.2748 0.5500 0.8250 1
Sr7 Sr 0.3249 0.6497 0.9750 1
Sr8 Sr 0.3751 0.7504 0.1250 1
Sr9 Sr 0.4246 0.8495 0.2750 1
Sr10 Sr 0.4712 0.9458 0.4251 1
Mg1 Mg 0.0500 0.1002 0.1500 1
Mg2 Mg 0.2499 0.4997 0.7501 1
Mg3 Mg 0.3500 0.7000 0.0500 1
Fe1 Fe 0.1494 0.2989 0.4498 1
Fe2 Fe 0.4515 0.8997 0.3507 1
Mo1 Mo 0.0000 0.0000 0.0000 1
Mo2 Mo 0.1010 0.2004 0.2998 1
Mo3 Mo 0.2022 0.4001 0.6002 1
Mo4 Mo 0.3000 0.5999 0.9000 1
Mo5 Mo 0.4004 0.8005 0.2001 1
Mo6 Mo 0.5000 0.0000 0.5000 1
O1 O 0.0224 0.6341 0.7278 1
O2 O 0.0272 0.0657 0.5776 1
O3 O 0.0385 0.5233 0.0795 1
O4 O 0.0624 0.6775 0.2207 1
O5 O 0.0683 0.1370 0.7243 1
O6 O 0.0866 0.5825 0.5724 1
O7 O 0.1226 0.8336 0.0277 1
O8 O 0.1306 0.2610 0.8757 1
O9 O 0.1569 0.7275 0.3774 1
O10 O 0.1618 0.8839 0.5199 1
O11 O 0.1693 0.3389 0.0242 1
O12 O 0.1774 0.7661 0.8722 1
O13 O 0.2275 0.0346 0.3272 1
O14 O 0.2306 0.4610 0.1760 1
O15 O 0.2414 0.9238 0.6800 1
O16 O 0.2613 0.0763 0.8204 1
O17 O 0.2719 0.5449 0.3236 1
O18 O 0.2773 0.9665 0.1724 1
O19 O 0.3200 0.2203 0.6305 1
O20 O 0.3311 0.6612 0.4763 1
O21 O 0.3385 0.1232 0.9795 1
O22 O 0.3617 0.2770 0.1206 1
O23 O 0.3692 0.7381 0.6268 1
O24 O 0.3800 0.1649 0.4716 1
O25 O 0.4225 0.4336 0.9277 1
O26 O 0.4305 0.8606 0.7757 1
O27 O 0.4372 0.3241 0.2793 1
O28 O 0.4529 0.4730 0.4193 1
O29 O 0.4693 0.9389 0.9242 1
O30 O 0.4765 0.3651 0.7722 1
```


Below is an optimized crystal structure of Li4Cr3Ni3W2O16, with properties calculated at the GGA+U level.

Properties
* total moment: 14.00 μB/f.u.
* ρ: 5.5 g/cm3
* volume: 590.8 Å³ per cell
* calculated formation energy: -57.48 eV per formula unit

CIF file:
```
data_Li4Cr3Ni3W2O16
_chemical_formula_sum 'Li8 Cr6 Ni6 W4 O32'
_space_group_name_H-M_alt 'C 1 m 1'
_space_group_IT_number 8
_cell_length_a 10.2499
_cell_length_b 5.9715
_cell_length_c 9.6526
_cell_angle_alpha 90.00
_cell_angle_beta 90.44
_cell_angle_gamma 90.00
loop_
_space_group_symop_operation_xyz
'x,y,z'
'x,-y,z'
'x+1/2,y+1/2,z'
'x+1/2,-y+1/2,z'
loop_
_atom_site_label
_atom_site_type_symbol
_atom_site_fract_x
_atom_site_fract_y
_atom_site_fract_z
_atom_site_occupancy
Li1 Li 0.0000 0.0000 0.0000 1
Li2 Li 0.0011 0.0000 0.5050 1
Li3 Li 0.1693 0.5000 0.0863 1
Li4 Li 0.3357 0.0000 0.5849 1
Cr1 Cr 0.3254 0.5000 0.7695 1
Cr2 Cr 0.4135 0.2459 0.2771 1
Ni1 Ni 0.0846 0.2552 0.7805 1
Ni2 Ni 0.1703 0.0000 0.2771 1
W1 W 0.1615 0.5000 0.5026 1
W2 W 0.3309 0.0000 0.0046 1
O1 O 0.0230 0.5000 0.6381 1
O2 O 0.0843 0.2581 0.4041 1
O3 O 0.1710 0.0000 0.9069 1
O4 O 0.1802 0.5000 0.8809 1
O5 O 0.2492 0.2869 0.6428 1
O6 O 0.2640 0.2240 0.1420 1
O7 O 0.3284 0.5000 0.3983 1
O8 O 0.3369 0.0000 0.3842 1
O9 O 0.4098 0.2431 0.9016 1
O10 O 0.4815 0.0000 0.1485 1
O11 O 0.4909 0.5000 0.6956 1
O12 O 0.4975 0.5000 0.1860 1
```


Below is an optimized crystal structure of Li7Mn8O20, with properties calculated at the GGA+U level.

Properties
* total moment: 23.00 μB/f.u.
* ρ: 3.8 g/cm3
* volume: 1407.8 Å³ per cell
* calculated formation energy: -70.52 eV per formula unit

CIF file:
```
data_Li7Mn8O20
_chemical_formula_sum 'Li28 Mn32 O80'
_space_group_name_H-M_alt 'C 1 2/m 1'
_space_group_IT_number 12
_cell_length_a 10.1169
_cell_length_b 5.8209
_cell_length_c 24.1198
_cell_angle_alpha 90.00
_cell_angle_beta 97.64
_cell_angle_gamma 90.00
loop_
_space_group_symop_operation_xyz
'x,y,z'
'-x,-y,-z'
'-x,y,-z'
'x,-y,z'
'x+1/2,y+1/2,z'
'-x+1/2,-y+1/2,-z'
'-x+1/2,y+1/2,-z'
'x+1/2,-y+1/2,z'
loop_
_atom_site_label
_atom_site_type_symbol
_atom_site_fract_x
_atom_site_fract_y
_atom_site_fract_z
_atom_site_occupancy
Li1 Li 0.0204 0.0000 0.0684 1
Li2 Li 0.0720 0.5000 0.7235 1
Li3 Li 0.1234 0.5000 0.8726 1
Li4 Li 0.1678 0.0000 0.5238 1
Li5 Li 0.1972 0.5000 0.5999 1
Li6 Li 0.2009 0.5000 0.0993 1
Li7 Li 0.2309 0.0000 0.6737 1
Mn1 Mn 0.0000 0.5000 0.0000 1
Mn2 Mn 0.0000 0.5000 0.5000 1
Mn3 Mn 0.0521 0.2501 0.4008 1
Mn4 Mn 0.0996 0.0000 0.3018 1
Mn5 Mn 0.1030 0.0000 0.8004 1
Mn6 Mn 0.1502 0.2535 0.1997 1
Mn7 Mn 0.2500 0.2500 0.0000 1
O1 O 0.0065 0.2225 0.2470 1
O2 O 0.0314 0.5000 0.6416 1
O3 O 0.0327 0.0000 0.6467 1
O4 O 0.0525 0.0000 0.1579 1
O5 O 0.0656 0.5000 0.1586 1
O6 O 0.0788 0.2679 0.5499 1
O7 O 0.1026 0.2706 0.0426 1
O8 O 0.1373 0.5000 0.4482 1
O9 O 0.1383 0.0000 0.4417 1
O10 O 0.1534 0.5000 0.9561 1
O11 O 0.1660 0.0000 0.9580 1
O12 O 0.1827 0.2282 0.3494 1
O13 O 0.2042 0.2299 0.8414 1
O14 O 0.2292 0.0000 0.2485 1
O15 O 0.2462 0.5000 0.2430 1
```


Below is an optimized crystal structure of LiV3O4, with properties calculated at the GGA+U level.

Properties
* total moment: 5.00 μB/f.u.
* excess energy over the best structure of this formula in the dataset: 0.037 eV per atom
* ρ: 4.6 g/cm3
* volume: 322.2 Å³ per cell
* calculated formation energy: -18.01 eV per formula unit

CIF file:
```
data_LiV3O4
_chemical_formula_sum 'Li4 V12 O16'
_space_group_name_H-M_alt 'C 1 2/m 1'
_space_group_IT_number 12
_cell_length_a 10.5997
_cell_length_b 6.0663
_cell_length_c 6.1462
_cell_angle_alpha 90.00
_cell_angle_beta 125.39
_cell_angle_gamma 90.00
loop_
_space_group_symop_operation_xyz
'x,y,z'
'-x,-y,-z'
'-x,y,-z'
'x,-y,z'
'x+1/2,y+1/2,z'
'-x+1/2,-y+1/2,-z'
'-x+1/2,y+1/2,-z'
'x+1/2,-y+1/2,z'
loop_
_atom_site_label
_atom_site_type_symbol
_atom_site_fract_x
_atom_site_fract_y
_atom_site_fract_z
_atom_site_occupancy
Li1 Li 0.0000 0.0000 0.0000 1
Li2 Li 0.0000 0.5000 0.0000 1
V1 V 0.0000 0.0000 0.5000 1
V2 V 0.0000 0.5000 0.5000 1
V3 V 0.2500 0.2500 0.0000 1
V4 V 0.2500 0.2500 0.5000 1
O1 O 0.0003 0.2415 0.2592 1
O2 O 0.2404 0.0000 0.7394 1
O3 O 0.2479 0.0000 0.2489 1
```


Below is an optimized crystal structure of CaCrH2O5, with properties calculated at the GGA+U level.

Properties
* total moment: 0.00 μB/f.u.
* ρ: 2.7 g/cm3
* volume: 853.1 Å³ per cell
* calculated formation energy: -18.27 eV per formula unit

CIF file:
```
data_CaCrH2O5
_chemical_formula_sum 'Ca8 Cr8 H16 O40'
_space_group_name_H-M_alt 'P b c a'
_space_group_IT_number 61
_cell_length_a 8.0274
_cell_length_b 8.2990
_cell_length_c 12.8054
_cell_angle_alpha 90.00
_cell_angle_beta 90.00
_cell_angle_gamma 90.00
loop_
_space_group_symop_operation_xyz
'x,y,z'
'-x,-y,-z'
'-x+1/2,-y,z+1/2'
'x+1/2,y,-z+1/2'
'x+1/2,-y+1/2,-z'
'-x+1/2,y+1/2,z'
'-x,y+1/2,-z+1/2'
'x,-y+1/2,z+1/2'
loop_
_atom_site_label
_atom_site_type_symbol
_atom_site_fract_x
_atom_site_fract_y
_atom_site_fract_z
_atom_site_occupancy
Ca1 Ca 0.2350 0.0978 0.1694 1
Cr1 Cr 0.1291 0.6196 0.8766 1
H1 H 0.0205 0.1634 0.8555 1
H2 H 0.0679 0.6601 0.5347 1
O1 O 0.0057 0.7237 0.3999 1
O2 O 0.0263 0.0271 0.3147 1
O3 O 0.0910 0.6524 0.6106 1
O4 O 0.2074 0.5557 0.9873 1
O5 O 0.2157 0.1734 0.7958 1
```


Below is an optimized crystal structure of Y4Mo6O21, with properties calculated at the GGA+U level.

Properties
* total moment: 6.00 μB/f.u.
* ρ: 4.9 g/cm3
* volume: 1712.8 Å³ per cell
* calculated formation energy: -79.75 eV per formula unit

CIF file:
```
data_Y4Mo6O21
_chemical_formula_sum 'Y16 Mo24 O84'
_space_group_name_H-M_alt 'C 1 2/m 1'
_space_group_IT_number 12
_cell_length_a 12.7765
_cell_length_b 7.3804
_cell_length_c 18.1640
_cell_angle_alpha 90.00
_cell_angle_beta 90.10
_cell_angle_gamma 90.00
loop_
_space_group_symop_operation_xyz
'x,y,z'
'-x,-y,-z'
'-x,y,-z'
'x,-y,z'
'x+1/2,y+1/2,z'
'-x+1/2,-y+1/2,-z'
'-x+1/2,y+1/2,-z'
'x+1/2,-y+1/2,z'
loop_
_atom_site_label
_atom_site_type_symbol
_atom_site_fract_x
_atom_site_fract_y
_atom_site_fract_z
_atom_site_occupancy
Y1 Y 0.0000 0.0000 0.0000 1
Y2 Y 0.0000 0.5000 0.5000 1
Y3 Y 0.0856 0.2473 0.1763 1
Y4 Y 0.2500 0.2500 0.5000 1
Mo1 Mo 0.0000 0.0000 0.5000 1
Mo2 Mo 0.0000 0.5000 0.0000 1
Mo3 Mo 0.0846 0.2512 0.6665 1
Mo4 Mo 0.1675 0.0000 0.3350 1
Mo5 Mo 0.1674 0.5000 0.8345 1
Mo6 Mo 0.2500 0.2500 0.0000 1
O1 O 0.0240 0.0000 0.1191 1
O2 O 0.0372 0.5000 0.8968 1
O3 O 0.0434 0.5000 0.6364 1
O4 O 0.0641 0.1886 0.3066 1
O5 O 0.0674 0.2039 0.5543 1
O6 O 0.0930 0.3190 0.7711 1
O7 O 0.0992 0.2954 0.0238 1
O8 O 0.1193 0.0000 0.6777 1
O9 O 0.1346 0.0000 0.4443 1
O10 O 0.1501 0.5000 0.1923 1
O11 O 0.1666 0.5000 0.4727 1
O12 O 0.2013 0.0000 0.2274 1
O13 O 0.2007 0.0000 0.9795 1
O14 O 0.2320 0.3098 0.6359 1
O15 O 0.2357 0.3153 0.8937 1
```


Below is an optimized crystal structure of Li2VF6, with properties calculated at the GGA+U level.

Properties
* total moment: 1.00 μB/f.u.
* excess energy over the best structure of this formula in the dataset: 0.021 eV per atom
* ρ: 2.7 g/cm3
* volume: 668.6 Å³ per cell
* calculated formation energy: -28.15 eV per formula unit

CIF file:
```
data_Li2VF6
_chemical_formula_sum 'Li12 V6 F36'
_space_group_name_H-M_alt 'P 1'
_space_group_IT_number 1
_cell_length_a 8.5650
_cell_length_b 8.7075
_cell_length_c 10.2104
_cell_angle_alpha 86.23
_cell_angle_beta 85.61
_cell_angle_gamma 61.78
loop_
_space_group_symop_operation_xyz
'x,y,z'
loop_
_atom_site_label
_atom_site_type_symbol
_atom_site_fract_x
_atom_site_fract_y
_atom_site_fract_z
_atom_site_occupancy
Li1 Li 0.0000 0.0000 0.0000 1
Li2 Li 0.0035 0.6205 0.9029 1
Li3 Li 0.1881 0.0548 0.4812 1
Li4 Li 0.2799 0.2737 0.9661 1
Li5 Li 0.3098 0.3282 0.4023 1
Li6 Li 0.3443 0.9557 0.2036 1
Li7 Li 0.5366 0.4006 0.8922 1
Li8 Li 0.5919 0.6042 0.3685 1
Li9 Li 0.6516 0.6659 0.7112 1
Li10 Li 0.7015 0.2937 0.5014 1
Li11 Li 0.8423 0.7495 0.1910 1
Li12 Li 0.9466 0.9414 0.6596 1
V1 V 0.3065 0.6164 0.1424 1
V2 V 0.3094 0.6132 0.6445 1
V3 V 0.6353 0.9571 0.9288 1
V4 V 0.6456 0.9516 0.4371 1
V5 V 0.9794 0.2897 0.2261 1
V6 V 0.9831 0.2856 0.7298 1
F1 F 0.0404 0.0779 0.8276 1
F2 F 0.0675 0.3747 0.8576 1
F3 F 0.0765 0.0684 0.3189 1
F4 F 0.0797 0.3522 0.3535 1
F5 F 0.0862 0.6954 0.2253 1
F6 F 0.0887 0.7059 0.7442 1
F7 F 0.1884 0.2061 0.6241 1
F8 F 0.2038 0.1941 0.1265 1
F9 F 0.2163 0.8413 0.5635 1
F10 F 0.2237 0.8413 0.0565 1
F11 F 0.2285 0.5219 0.0066 1
F12 F 0.2379 0.5280 0.5181 1
F13 F 0.3836 0.4103 0.2459 1
F14 F 0.3957 0.7133 0.2639 1
F15 F 0.3974 0.4030 0.7461 1
F16 F 0.4060 0.0319 0.3744 1
F17 F 0.4078 0.0357 0.8797 1
F18 F 0.4190 0.6797 0.7619 1
F19 F 0.5147 0.5360 0.0434 1
F20 F 0.5356 0.5329 0.5404 1
F21 F 0.5519 0.1891 0.9848 1
F22 F 0.5551 0.1871 0.4870 1
F23 F 0.5732 0.8686 0.5874 1
F24 F 0.5784 0.8835 0.0925 1
F25 F 0.7208 0.0032 0.2779 1
F26 F 0.7215 0.7277 0.3615 1
F27 F 0.7291 0.7296 0.8609 1
F28 F 0.7303 0.0178 0.7803 1
F29 F 0.7564 0.3715 0.8142 1
F30 F 0.7618 0.3702 0.3321 1
F31 F 0.8594 0.8887 0.5118 1
F32 F 0.8754 0.8597 0.0007 1
F33 F 0.8865 0.4991 0.6371 1
F34 F 0.8949 0.2070 0.1050 1
F35 F 0.9011 0.5108 0.1411 1
F36 F 0.9064 0.1812 0.5994 1
```


Among the records above, which one has the highest calculated formation energy? LiV3O4